Computed, not measured: AlS2NCl6 after structural relaxation at the GGA-PBE level of DFT.

abc: 6.4115 13.7969 13.3884
angles: 90.00 95.49 90.00
Last column: nearest neighbours and their distance in Å.
Fractional positions:
Al1 0.0064 0.2500 0.0336  4 Cl 2.15-2.17
Al2 0.1552 0.2500 0.5159  4 Cl 2.15-2.18
Al3 0.8448 0.7500 0.4841  4 Cl 2.15-2.18
Al4 0.9936 0.7500 0.9664  4 Cl 2.15-2.17
S1 0.2554 0.0203 0.8426  1 N 1.54
S2 0.2554 0.4797 0.8426  1 N 1.54
S3 0.3673 0.5931 0.6641  1 N 1.54
S4 0.3673 0.9069 0.6641  1 N 1.54
S5 0.6327 0.0931 0.3359  1 N 1.54
S6 0.6327 0.4069 0.3359  1 N 1.54
S7 0.7446 0.5203 0.1574  1 N 1.54
S8 0.7446 0.9797 0.1574  1 N 1.54
N1 0.2694 0.5512 0.7555  2 S 1.54
N2 0.2694 0.9488 0.7555  2 S 1.54
N3 0.7306 0.0512 0.2445  2 S 1.54
N4 0.7306 0.4488 0.2445  2 S 1.54
Cl1 0.0240 0.2500 0.3597  1 Al 2.18
Cl2 0.0289 0.7500 0.1294  1 Al 2.17
Cl3 0.0538 0.1211 0.5879  1 Al 2.15
Cl4 0.0538 0.3789 0.5879  1 Al 2.15
Cl5 0.1702 0.1192 0.0848  1 Al 2.17
Cl6 0.1702 0.3808 0.0848  1 Al 2.17
Cl7 0.3000 0.7500 0.9144  1 Al 2.15
Cl8 0.3751 0.0163 0.3637  1 S 2.03
Cl9 0.3751 0.4837 0.3637  1 S 2.03
Cl10 0.4933 0.2500 0.5190  1 Al 2.16
Cl11 0.4988 0.1141 0.8521  1 S 2.02
Cl12 0.4988 0.3859 0.8521  1 S 2.02
Cl13 0.5012 0.6141 0.1479  1 S 2.02
Cl14 0.5012 0.8859 0.1479  1 S 2.02
Cl15 0.5067 0.7500 0.4810  1 Al 2.16
Cl16 0.6249 0.5163 0.6363  1 S 2.03
Cl17 0.6249 0.9837 0.6363  1 S 2.03
Cl18 0.7000 0.2500 0.0856  1 Al 2.15
Cl19 0.8298 0.6192 0.9152  1 Al 2.17
Cl20 0.8298 0.8808 0.9152  1 Al 2.17
Cl21 0.9462 0.6211 0.4121  1 Al 2.15
Cl22 0.9462 0.8789 0.4121  1 Al 2.15
Cl23 0.9711 0.2500 0.8706  1 Al 2.17
Cl24 0.9760 0.7500 0.6403  1 Al 2.18

Calculated values
SG: P2_1/m (11)
ΔE_f: -1.020 eV/atom
E (MP2020): -4.16 eV per atom